# 1
The following is a PBE calculation of a relaxed CaSO6 crystal, from the Materials Project.

Lattice parameters (Å, degrees): 4.9229 6.0063 10.0925 101.58 97.22 113.39
With the nearest neighbours (Å) after each atom.
Positions (direct):
Ca: 0.5647 0.8147 0.6293  6 O 2.32-2.49
Ca: 0.4353 0.1853 0.3707  6 O 2.32-2.49
S: 0.9231 0.6731 0.3461  4 O 1.48-1.50
S: 0.0769 0.3269 0.6539  4 O 1.48-1.50
O: 0.2378 0.7981 0.4373  1 S 1.50
O: 0.3006 0.3608 0.5627  1 S 1.50
O: 0.7622 0.2019 0.5627  1 S 1.50
O: 0.6994 0.6392 0.4373  1 S 1.50
O: 0.9128 0.8480 0.2631  1 S 1.48
O: 0.1497 0.5849 0.7369  1 S 1.48
O: 0.0872 0.1520 0.7369  1 S 1.48
O: 0.8503 0.4151 0.2631  1 S 1.48
O: 0.7922 0.9050 0.9386  1 O 1.25
O: 0.3536 0.9664 0.0614  1 O 1.25
O: 0.2078 0.0950 0.0614  1 O 1.25
O: 0.6464 0.0336 0.9386  1 O 1.25

The value obtained for the total magnetization is 0.013 Bohr magnetons per cell. As for the raw total energy: -95.956 eV per cell. As for the space group: C2/c, No. 15. For the offset from the most stable computed form, the calculation gives 63 meV/atom. The value obtained for the formation energy is -1.639 eV per atom.

# 2
The following is a PBE calculation of a relaxed CaSO6 crystal, from the Materials Project.

Lattice parameters (Å, degrees): 18.2282 5.7350 6.7155 57.00 90.00 90.00
With the nearest neighbours (Å) after each atom.
Positions (direct):
Ca: 0.3070 0.7523 0.9945  6 O 2.33-2.47
Ca: 0.6930 0.2477 0.0055  6 O 2.33-2.47
Ca: 0.8070 0.2477 0.5055  6 O 2.33-2.47
Ca: 0.1930 0.7523 0.4945  6 O 2.33-2.47
S: 0.8246 0.7484 0.0053  4 O 1.48-1.51
S: 0.1754 0.2516 0.9947  4 O 1.48-1.51
S: 0.3246 0.2516 0.4947  4 O 1.48-1.51
S: 0.6754 0.7484 0.5053  4 O 1.48-1.51
O: 0.8679 0.6732 0.2187  1 S 1.48
O: 0.1321 0.3268 0.7813  1 S 1.48
O: 0.3679 0.3268 0.2813  1 S 1.48
O: 0.6321 0.6732 0.7187  1 S 1.48
O: 0.7773 0.4978 0.0784  1 S 1.51
O: 0.2227 0.5022 0.9216  1 S 1.51
O: 0.2773 0.5022 0.4216  1 S 1.51
O: 0.7227 0.4978 0.5784  1 S 1.51
O: 0.6308 0.8264 0.2942  1 S 1.48
O: 0.3692 0.1736 0.7058  1 S 1.48
O: 0.1308 0.1736 0.2058  1 S 1.48
O: 0.8692 0.8264 0.7942  1 S 1.48
O: 0.4781 0.9424 0.0829  1 O 1.23
O: 0.5219 0.0576 0.9171  1 O 1.23
O: 0.9781 0.0576 0.4171  1 O 1.23
O: 0.0219 0.9424 0.5829  1 O 1.23
O: 0.7243 0.9955 0.4309  1 S 1.51
O: 0.2757 0.0045 0.5691  1 S 1.51
O: 0.2243 0.0045 0.0691  1 S 1.51
O: 0.7757 0.9955 0.9309  1 S 1.51
O: 0.5213 0.4422 0.0847  1 O 1.23
O: 0.4787 0.5578 0.9153  1 O 1.23
O: 0.0213 0.5578 0.4153  1 O 1.23
O: 0.9787 0.4422 0.5847  1 O 1.23

The value obtained for the total magnetization is 0.036 Bohr magnetons per cell. As for the raw total energy: -193.923 eV per cell. As for the space group: P2_1/c, No. 14. For the offset from the most stable computed form, the calculation gives 0 meV/atom. The value obtained for the formation energy is -1.702 eV per atom.

# 3
The following is a PBE calculation of a relaxed Ca2S2O9 crystal, from the Materials Project.

Lattice parameters (Å, degrees): 7.0687 7.0687 12.7730 90.00 90.00 120.00
With the nearest neighbours (Å) after each atom.
Positions (direct):
Ca: 0.8112 0.1385 0.3292  7 O 2.43-2.57
Ca: 0.8615 0.6727 0.6626  7 O 2.43-2.57
Ca: 0.3273 0.1888 0.9959  7 O 2.43-2.57
Ca: 0.3310 0.1961 0.4970  8 O 2.41-2.59
Ca: 0.8039 0.1349 0.8303  8 O 2.41-2.59
Ca: 0.8651 0.6690 0.1636  8 O 2.41-2.59
S: 0.7894 0.1232 0.0826  4 O 1.49
S: 0.8768 0.6662 0.4159  4 O 1.49
S: 0.3338 0.2106 0.7493  4 O 1.49
S: 0.3410 0.2108 0.2484  4 O 1.48-1.50
S: 0.7892 0.1302 0.5817  4 O 1.48-1.50
S: 0.8698 0.6590 0.9150  4 O 1.48-1.50
O: 0.5928 0.0701 0.0185  1 S 1.49
O: 0.9299 0.5227 0.3518  1 S 1.49
O: 0.4773 0.4072 0.6852  1 S 1.49
O: 0.8478 0.3137 0.1523  1 S 1.49
O: 0.6863 0.5341 0.4857  1 S 1.49
O: 0.4659 0.1522 0.8190  1 S 1.49
O: 0.7486 0.9389 0.1533  1 S 1.49
O: 0.0611 0.8097 0.4866  1 S 1.49
O: 0.1903 0.2514 0.8200  1 S 1.49
O: 0.9703 0.1729 0.0074  1 S 1.49
O: 0.8271 0.7973 0.3408  1 S 1.49
O: 0.2027 0.0297 0.6741  1 S 1.49
O: 0.1989 0.2546 0.3187  1 S 1.49
O: 0.7454 0.9443 0.6520  1 S 1.49
O: 0.0557 0.8011 0.9854  1 S 1.49
O: 0.4830 0.4041 0.1830  1 S 1.48
O: 0.5959 0.0789 0.5164  1 S 1.48
O: 0.9211 0.5170 0.8497  1 S 1.48
O: 0.4688 0.1454 0.3174  1 S 1.49
O: 0.8546 0.3234 0.6507  1 S 1.49
O: 0.6766 0.5312 0.9841  1 S 1.49
O: 0.2049 0.0307 0.1728  1 S 1.50
O: 0.9693 0.1741 0.5062  1 S 1.50
O: 0.8259 0.7951 0.8395  1 S 1.50
O: 0.2207 0.6938 0.1917  3 O 2.45-2.72, 1 Ca 2.46
O: 0.3062 0.5269 0.5250  3 O 2.45-2.72, 1 Ca 2.46
O: 0.4731 0.7793 0.8584  3 O 2.45-2.72, 1 Ca 2.46

The value obtained for the total magnetization is 6.002 Bohr magnetons per cell. As for the raw total energy: -241.363 eV per cell. As for the space group: P3_1, No. 144. For the offset from the most stable computed form, the calculation gives 0 meV/atom. The value obtained for the formation energy is -2.294 eV per atom.

Question: Which of these has the highest offset from the most stable computed form?
Answer: number 1

Question: The highest offset from the most stable computed form belongs to which entry?
Answer: number 1

Question: Among the records above, which one has the highest raw total energy?
Answer: number 1